Computed, not measured: K4Sb2O5 after structural relaxation at the r2SCAN level of DFT.

Energy of formation (eV/atom): -1.70
ρ (Mg/m³): 3.51
Volume (Å³/f.u.): 227.26
Magnetic moment (μB/cell): 0.00

Unit cell a=18.119 b=6.355 c=7.894 alpha=90.00 beta=90.00 gamma=90.00
Fractional coordinates of all 44 atoms:
K: 0.012 0.250 0.125
K: 0.014 0.250 0.625
K: 0.151 0.750 0.126
K: 0.151 0.750 0.625
K: 0.349 0.250 0.125
K: 0.349 0.250 0.626
K: 0.486 0.750 0.125
K: 0.488 0.750 0.625
K: 0.512 0.250 0.375
K: 0.514 0.250 0.875
K: 0.651 0.750 0.374
K: 0.651 0.750 0.875
K: 0.849 0.250 0.375
K: 0.849 0.250 0.874
K: 0.986 0.750 0.375
K: 0.988 0.750 0.875
Sb: 0.168 0.250 0.378
Sb: 0.168 0.250 0.872
Sb: 0.332 0.750 0.372
Sb: 0.332 0.750 0.878
Sb: 0.668 0.250 0.122
Sb: 0.668 0.250 0.628
Sb: 0.832 0.750 0.128
Sb: 0.832 0.750 0.622
O: 0.098 0.022 0.375
O: 0.098 0.022 0.875
O: 0.098 0.478 0.375
O: 0.098 0.478 0.875
O: 0.196 0.250 0.625
O: 0.304 0.750 0.125
O: 0.402 0.522 0.375
O: 0.402 0.522 0.875
O: 0.402 0.978 0.375
O: 0.402 0.978 0.875
O: 0.598 0.022 0.125
O: 0.598 0.022 0.625
O: 0.598 0.478 0.125
O: 0.598 0.478 0.625
O: 0.696 0.250 0.875
O: 0.804 0.750 0.375
O: 0.902 0.522 0.125
O: 0.902 0.522 0.625
O: 0.902 0.978 0.125
O: 0.902 0.978 0.625

Computed, not measured: K3TlAu5 after structural relaxation at the r2SCAN level of DFT.

Energy of formation (eV/atom): -0.34
ρ (Mg/m³): 9.13
Volume (Å³/f.u.): 237.60
Magnetic moment (μB/cell): 0.00

Unit cell a=11.189 b=11.189 c=11.189 alpha=150.64 beta=53.86 gamma=135.90
Fractional coordinates of all 18 atoms:
K: 0.130 0.880 0.250
K: 0.209 0.121 0.088
K: 0.468 0.879 0.588
K: 0.532 0.121 0.412
K: 0.791 0.879 0.912
K: 0.870 0.120 0.750
Tl: 0.414 0.664 0.750
Tl: 0.586 0.336 0.250
Au: 0.000 0.500 0.500
Au: 0.098 0.455 0.644
Au: 0.191 0.000 0.691
Au: 0.191 0.500 0.191
Au: 0.311 0.455 0.856
Au: 0.500 0.500 0.000
Au: 0.689 0.545 0.144
Au: 0.809 0.000 0.309
Au: 0.809 0.500 0.809
Au: 0.902 0.545 0.356

Computed, not measured: SiC after structural relaxation at the r2SCAN level of DFT.

Energy of formation (eV/atom): -0.30
ρ (Mg/m³): 3.23
Energy above the lowest structure with this stoichiometry (meV/atom): 1
Volume (Å³/f.u.): 20.63
Magnetic moment (μB/cell): 0.00

Unit cell a=3.077 b=3.077 c=12.584 alpha=90.00 beta=90.00 gamma=120.00
Fractional coordinates of all 10 atoms:
Si: 0.000 0.000 0.000
Si: 0.000 0.000 0.400
Si: 0.333 0.667 0.200
Si: 0.333 0.667 0.600
Si: 0.667 0.333 0.800
C: 0.000 0.000 0.150
C: 0.000 0.000 0.551
C: 0.333 0.667 0.350
C: 0.333 0.667 0.750
C: 0.667 0.333 0.950

Computed, not measured: V2Pb14Cl4O17 after structural relaxation at the r2SCAN level of DFT.

Energy of formation (eV/atom): -1.60
ρ (Mg/m³): 7.81
Volume (Å³/f.u.): 726.42
Magnetic moment (μB/cell): 0.00

Unit cell a=13.060 b=13.060 c=11.338 alpha=103.15 beta=103.15 gamma=121.80
Fractional coordinates of all 74 atoms:
V: 0.043 0.688 0.826
V: 0.312 0.957 0.674
V: 0.688 0.043 0.326
V: 0.957 0.312 0.174
Pb: 0.042 0.217 0.925
Pb: 0.047 0.659 0.300
Pb: 0.050 0.207 0.455
Pb: 0.180 0.576 0.579
Pb: 0.203 0.595 0.061
Pb: 0.207 0.050 0.955
Pb: 0.217 0.042 0.425
Pb: 0.293 0.460 0.306
Pb: 0.303 0.471 0.820
Pb: 0.341 0.953 0.200
Pb: 0.405 0.797 0.439
Pb: 0.424 0.820 0.921
Pb: 0.460 0.293 0.806
Pb: 0.471 0.303 0.320
Pb: 0.529 0.697 0.680
Pb: 0.540 0.707 0.194
Pb: 0.576 0.180 0.079
Pb: 0.595 0.203 0.561
Pb: 0.659 0.047 0.800
Pb: 0.697 0.529 0.180
Pb: 0.707 0.540 0.694
Pb: 0.783 0.958 0.575
Pb: 0.793 0.950 0.045
Pb: 0.797 0.405 0.939
Pb: 0.820 0.424 0.421
Pb: 0.950 0.793 0.545
Pb: 0.953 0.341 0.700
Pb: 0.958 0.783 0.075
Cl: 0.104 0.137 0.696
Cl: 0.137 0.104 0.196
Cl: 0.373 0.379 0.065
Cl: 0.379 0.373 0.565
Cl: 0.621 0.627 0.435
Cl: 0.627 0.621 0.935
Cl: 0.863 0.896 0.804
Cl: 0.896 0.863 0.304
O: 0.021 0.314 0.325
O: 0.092 0.411 0.143
O: 0.111 0.385 0.622
O: 0.121 0.406 0.888
O: 0.132 0.629 0.819
O: 0.136 0.844 0.959
O: 0.144 0.856 0.250
O: 0.156 0.864 0.541
O: 0.314 0.021 0.825
O: 0.331 0.615 0.486
O: 0.357 0.643 0.750
O: 0.367 0.633 0.250
O: 0.371 0.868 0.681
O: 0.385 0.111 0.122
O: 0.385 0.669 0.014
O: 0.406 0.121 0.388
O: 0.411 0.092 0.643
O: 0.589 0.908 0.357
O: 0.594 0.879 0.612
O: 0.615 0.331 0.986
O: 0.615 0.889 0.878
O: 0.629 0.132 0.319
O: 0.633 0.367 0.750
O: 0.643 0.357 0.250
O: 0.669 0.385 0.514
O: 0.686 0.979 0.175
O: 0.844 0.136 0.459
O: 0.856 0.144 0.750
O: 0.864 0.156 0.041
O: 0.868 0.371 0.181
O: 0.879 0.594 0.112
O: 0.889 0.615 0.378
O: 0.908 0.589 0.857
O: 0.979 0.686 0.675

Computed, not measured: YbTaO3 after structural relaxation at the r2SCAN level of DFT.

Energy of formation (eV/atom): -2.52
ρ (Mg/m³): 10.54
Volume (Å³/f.u.): 63.34
Magnetic moment (μB/cell): 0.00

Unit cell a=3.986 b=3.986 c=3.986 alpha=90.00 beta=90.00 gamma=90.00
Fractional coordinates of all 5 atoms:
Yb: 0.000 0.000 0.000
Ta: 0.500 0.500 0.500
O: 0.000 0.500 0.500
O: 0.500 0.000 0.500
O: 0.500 0.500 0.000

Computed, not measured: LaErTl2 after structural relaxation at the r2SCAN level of DFT.

Energy of formation (eV/atom): -0.47
ρ (Mg/m³): 10.31
Volume (Å³/f.u.): 115.16
Magnetic moment (μB/cell): 0.00

Unit cell a=7.723 b=7.723 c=7.723 alpha=90.00 beta=90.00 gamma=90.00
Fractional coordinates of all 16 atoms:
La: 0.000 0.000 0.000
La: 0.000 0.500 0.500
La: 0.500 0.000 0.500
La: 0.500 0.500 0.000
Er: 0.000 0.000 0.500
Er: 0.000 0.500 0.000
Er: 0.500 0.000 0.000
Er: 0.500 0.500 0.500
Tl: 0.250 0.250 0.250
Tl: 0.250 0.250 0.750
Tl: 0.250 0.750 0.250
Tl: 0.250 0.750 0.750
Tl: 0.750 0.250 0.250
Tl: 0.750 0.250 0.750
Tl: 0.750 0.750 0.250
Tl: 0.750 0.750 0.750

Question: Which of these has the lowest ρ?
Answer: SiC

Question: Which of these has the highest volume?
Answer: V2Pb14Cl4O17